# 1
BaTe2F10 | Materials Project | meta-GGA r2SCAN | relaxed; crystal system = monoclinic; calculated formation energy = -2728 meV/atom; raw total energy = -288.11 eV per cell; calculated density = 4.91 g/cm3
1.0
2.4188 8.6035 -0.0593
-2.4188 8.6035 -0.0593
0.0000 3.8515 9.4443
Ba Te F
2 4 20
Direct
0.9616 0.0384 0.2500 Ba
0.0384 0.9616 0.7500 Ba
0.6051 0.7145 0.4341 Te
0.2855 0.3949 0.0659 Te
0.3949 0.2855 0.5659 Te
0.7145 0.6051 0.9341 Te
0.4468 0.9566 0.2564 F
0.0434 0.5532 0.2436 F
0.5532 0.0434 0.7436 F
0.9566 0.4468 0.7564 F
0.8167 0.4001 0.3443 F
0.5999 0.1833 0.1557 F
0.5135 0.6332 0.1248 F
0.3668 0.4865 0.3752 F
0.4865 0.3668 0.8752 F
0.6332 0.5135 0.6248 F
0.0698 0.2660 0.0369 F
0.7340 0.9302 0.4631 F
0.9302 0.7340 0.9631 F
0.2660 0.0698 0.5369 F
0.8182 0.3041 0.9462 F
0.6959 0.1818 0.5538 F
0.1818 0.6959 0.0538 F
0.3041 0.8182 0.4462 F
0.4001 0.8167 0.8443 F
0.1833 0.5999 0.6557 F

---

# 2
BaTeF6 | Materials Project | meta-GGA r2SCAN | relaxed; crystal system = orthorhombic; calculated formation energy = -2987 meV/atom; raw total energy = -378.27 eV per cell; calculated density = 4.90 g/cm3
1.0
0.0004 7.5639 7.6252
4.4486 -0.0001 7.6255
4.4486 7.5642 -0.0001
Ba Te F
4 4 24
Direct
0.2109 0.0239 0.6358 Ba
0.1294 0.6359 0.0238 Ba
0.2262 0.0391 0.1205 Ba
0.6141 0.1207 0.0390 Ba
0.7296 0.4835 0.5584 Te
0.6918 0.0217 0.5202 Te
0.2284 0.5582 0.4836 Te
0.7664 0.5204 0.0216 Te
0.3128 0.2854 0.4641 F
0.7209 0.9627 0.2889 F
0.9375 0.4767 0.7444 F
0.5641 0.4035 0.7673 F
0.2973 0.4866 0.6663 F
0.7734 0.3122 0.4088 F
0.2712 0.8330 0.8971 F
0.4827 0.9853 0.6859 F
0.2653 0.7670 0.4038 F
0.8463 0.6861 0.9848 F
0.9373 0.4643 0.2854 F
0.9986 0.8973 0.8331 F
0.8413 0.7446 0.4767 F
0.4170 0.9788 0.2513 F
0.5055 0.4085 0.3125 F
0.5495 0.6660 0.4870 F
0.7632 0.9525 0.7004 F
0.5839 0.7006 0.9526 F
0.7856 0.3127 0.9372 F
0.3528 0.2515 0.9789 F
0.9649 0.9368 0.3124 F
0.9611 0.2224 0.5291 F
0.0276 0.2890 0.9624 F
0.2874 0.5290 0.2224 F

---

# 3
BaWF7 | Materials Project | meta-GGA r2SCAN | relaxed; crystal system = monoclinic; calculated formation energy = -3150 meV/atom; raw total energy = -512.39 eV per cell; calculated density = 5.49 g/cm3
1.0
-9.1172 2.2263 -3.1595
0.1914 -4.1542 -3.4796
-3.9677 -6.3526 6.9731
Ba W F
4 4 28
Direct
0.3271 0.2982 0.5075 Ba
0.8271 0.7018 0.9925 Ba
0.6729 0.7018 0.4925 Ba
0.1729 0.2982 0.0075 Ba
0.6052 0.1759 0.1848 W
0.3948 0.8241 0.8152 W
0.8948 0.1759 0.6848 W
0.1052 0.8241 0.3152 W
0.4626 0.1200 0.8790 F
0.0584 0.3211 0.6263 F
0.6956 0.4604 0.2429 F
0.3044 0.5396 0.7571 F
0.4557 0.8857 0.6373 F
0.8045 0.2411 0.5194 F
0.7606 0.9809 0.2364 F
0.9557 0.1143 0.8627 F
0.4416 0.3211 0.1263 F
0.1956 0.5396 0.2571 F
0.0374 0.1200 0.3790 F
0.5374 0.8800 0.1210 F
0.2606 0.0191 0.2636 F
0.9587 0.3901 0.1204 F
0.5443 0.1143 0.3627 F
0.0443 0.8857 0.1373 F
0.2394 0.0191 0.7636 F
0.9626 0.8800 0.6210 F
0.4587 0.6099 0.3796 F
0.9416 0.6789 0.3737 F
0.0413 0.6099 0.8796 F
0.7394 0.9809 0.7364 F
0.5413 0.3901 0.6204 F
0.3045 0.7589 0.9806 F
0.1955 0.7589 0.4806 F
0.6955 0.2411 0.0194 F
0.5584 0.6789 0.8737 F
0.8044 0.4604 0.7429 F

---

# 4
Ba4Y3F17 | Materials Project | meta-GGA r2SCAN | relaxed; crystal system = triclinic; calculated formation energy = -4329 meV/atom; raw total energy = -647.95 eV per cell; calculated density = 5.25 g/cm3
1.0
-0.7430 6.4839 -6.6386
-8.6818 3.2846 0.3620
0.3748 8.3529 4.2393
Ba Y F
8 6 34
Direct
0.1082 0.6898 0.9506 Ba
0.7293 0.7360 0.7315 Ba
0.9395 0.1157 0.6859 Ba
0.3126 0.0564 0.8867 Ba
0.6842 0.9432 0.1180 Ba
0.0510 0.8874 0.3152 Ba
0.2637 0.2703 0.2685 Ba
0.8862 0.3130 0.0567 Ba
0.5315 0.3907 0.8377 Y
0.3904 0.8415 0.5320 Y
0.1593 0.4699 0.6093 Y
0.8182 0.5251 0.3925 Y
0.6097 0.1856 0.4644 Y
0.4725 0.6057 0.1701 Y
0.0007 0.9954 0.0048 F
0.5434 0.8165 0.9874 F
0.8572 0.8627 0.8617 F
0.6364 0.5114 0.9560 F
0.9870 0.5490 0.8157 F
0.7336 0.2170 0.9191 F
0.8104 0.9889 0.5476 F
0.5071 0.9658 0.6364 F
0.2159 0.9163 0.7352 F
0.4546 0.6507 0.7345 F
0.3040 0.4101 0.7877 F
0.7422 0.4487 0.6556 F
0.9555 0.6387 0.5128 F
0.5934 0.2043 0.7031 F
0.0817 0.2657 0.7825 F
0.6481 0.7401 0.4547 F
0.2122 0.6979 0.5844 F
0.5704 0.4611 0.4520 F
0.8314 0.2763 0.4008 F
0.3474 0.2653 0.5452 F
0.9100 0.7312 0.2267 F
0.4184 0.7924 0.3018 F
0.0386 0.3653 0.4911 F
0.2647 0.5442 0.3514 F
0.7138 0.5938 0.1808 F
0.5500 0.3414 0.2411 F
0.7785 0.0847 0.2677 F
0.4874 0.0457 0.3638 F
0.1827 0.0138 0.4545 F
0.2665 0.7787 0.0910 F
0.0125 0.4554 0.1842 F
0.3604 0.4928 0.0395 F
0.1408 0.1393 0.1385 F
0.4510 0.1856 0.0140 F

---

# 5
Ba2Zn7F18 | Materials Project | meta-GGA r2SCAN | relaxed; crystal system = triclinic; calculated formation energy = -2931 meV/atom; raw total energy = -250.77 eV per cell; calculated density = 5.20 g/cm3
1.0
-5.5994 0.9432 4.1425
1.0983 -6.7911 -2.4599
4.6669 -0.7621 5.8260
Ba Zn F
2 7 18
Direct
0.3149 0.6881 0.6316 Ba
0.6851 0.3119 0.3684 Ba
0.0000 0.0000 0.5000 Zn
0.1917 0.8713 0.1794 Zn
0.8083 0.1287 0.8206 Zn
0.8207 0.6199 0.8065 Zn
0.1793 0.3801 0.1935 Zn
0.6090 0.7311 0.1229 Zn
0.3910 0.2689 0.8771 Zn
0.4796 0.5605 0.3232 F
0.5204 0.4395 0.6768 F
0.1108 0.7717 0.9251 F
0.8892 0.2283 0.0749 F
0.7164 0.9898 0.5563 F
0.2836 0.0102 0.4437 F
0.9212 0.7182 0.5713 F
0.0788 0.2818 0.4287 F
0.9070 0.8723 0.2374 F
0.0930 0.1277 0.7626 F
0.7016 0.8239 0.8783 F
0.2984 0.1761 0.1217 F
0.1019 0.6052 0.2850 F
0.8981 0.3948 0.7150 F
0.4989 0.9273 0.1848 F
0.5011 0.0727 0.8152 F
0.6799 0.4870 0.0270 F
0.3201 0.5130 0.9730 F

---

# 6
BaZnF4 | Materials Project | meta-GGA r2SCAN | relaxed; crystal system = orthorhombic; calculated formation energy = -3357 meV/atom; raw total energy = -136.12 eV per cell; calculated density = 5.18 g/cm3
1.0
-1.9419 3.7080 0.5691
-3.6572 -2.5005 3.8126
5.5359 -0.2925 5.1185
Ba Zn F
2 2 8
Direct
0.8545 0.9628 0.7091 Ba
0.1455 0.4628 0.2909 Ba
0.4121 0.5000 0.8241 Zn
0.5879 0.0000 0.1759 Zn
0.9237 0.5104 0.8475 F
0.0763 0.0104 0.1525 F
0.4719 0.8226 0.9439 F
0.5281 0.3226 0.0561 F
0.6987 0.2020 0.3974 F
0.3013 0.7020 0.6026 F
0.6692 0.7306 0.3384 F
0.3308 0.2306 0.6616 F

---

# 7
BaZrF6 | Materials Project | meta-GGA r2SCAN | relaxed; crystal system = monoclinic; calculated formation energy = -4135 meV/atom; raw total energy = -404.34 eV per cell; calculated density = 5.01 g/cm3
1.0
9.4980 0.0000 0.0000
0.0000 6.5217 0.0244
0.0000 5.5549 7.3567
Ba Zr F
4 4 24
Direct
0.3188 0.5881 0.6393 Ba
0.1812 0.5881 0.1393 Ba
0.6812 0.4119 0.3607 Ba
0.8188 0.4119 0.8607 Ba
0.4639 0.1198 0.1358 Zr
0.0361 0.1198 0.6358 Zr
0.5361 0.8802 0.8642 Zr
0.9639 0.8802 0.3642 Zr
0.1042 0.0754 0.8592 F
0.1230 0.0165 0.4708 F
0.4683 0.5475 0.1140 F
0.3958 0.0754 0.3592 F
0.1560 0.8379 0.2896 F
0.5317 0.4525 0.8860 F
0.2194 0.3192 0.5293 F
0.6560 0.1621 0.2104 F
0.0317 0.5475 0.6140 F
0.4600 0.7273 0.3225 F
0.9600 0.2727 0.1775 F
0.8770 0.9835 0.5292 F
0.7194 0.6808 0.9707 F
0.6230 0.9835 0.0292 F
0.8958 0.9246 0.1408 F
0.7806 0.6808 0.4707 F
0.2806 0.3192 0.0293 F
0.3770 0.0165 0.9708 F
0.0400 0.7273 0.8225 F
0.6042 0.9246 0.6408 F
0.3440 0.8379 0.7896 F
0.5400 0.2727 0.6775 F
0.9683 0.4525 0.3860 F
0.8440 0.1621 0.7104 F

---

# 8
BaZrF6 | Materials Project | meta-GGA r2SCAN | relaxed; crystal system = orthorhombic; calculated formation energy = -4126 meV/atom; raw total energy = -202.03 eV per cell; calculated density = 4.72 g/cm3
1.0
-2.6075 -4.1434 2.4319
6.0539 -2.4940 2.2418
-2.9198 4.4398 4.4338
Ba Zr F
2 2 12
Direct
0.4361 0.7500 0.2500 Ba
0.5639 0.2500 0.7500 Ba
0.0000 0.7500 0.7500 Zr
0.0000 0.2500 0.2500 Zr
0.7518 0.4341 0.1813 F
0.7518 0.0659 0.3187 F
0.2482 0.1813 0.4341 F
0.2482 0.3187 0.0659 F
0.8420 0.4347 0.5653 F
0.8420 0.0653 0.9347 F
0.1580 0.5653 0.4347 F
0.1580 0.9347 0.0653 F
0.7518 0.6813 0.9341 F
0.7518 0.8187 0.5659 F
0.2482 0.9341 0.6813 F
0.2482 0.5659 0.8187 F